## CsZnPO4 (GGA-PBE)

Data for crystalline CsZnPO4 at its relaxed geometry.

total energy after the MP2020 corrections	-6.418	eV per atom
formation enthalpy at 0 K	-2.51	eV per atom
final energy	-6.026	eV/atom

Geometry as CIF:
```
data_CsZnPO4
_chemical_formula_sum 'Cs8 Zn8 P8 O32'
_symmetry_space_group_name_H-M 'P 1 21/c 1'
_symmetry_Int_Tables_number 14
_cell_length_a 9.365
_cell_length_b 5.515
_cell_length_c 18.770
_cell_angle_alpha 90.00
_cell_angle_beta 90.37
_cell_angle_gamma 90.00
loop_
_symmetry_equiv_pos_as_xyz
'x,y,z'
'-x,-y,-z'
'-x,y+1/2,-z+1/2'
'x,-y+1/2,z+1/2'
loop_
_atom_site_label
_atom_site_type_symbol
_atom_site_fract_x
_atom_site_fract_y
_atom_site_fract_z
_atom_site_occupancy
Cs1 Cs 0.190 0.219 0.251 1
Cs2 Cs 0.294 0.242 0.497 1
Zn1 Zn 0.085 0.747 0.588 1
Zn2 Zn 0.412 0.715 0.333 1
P1 P 0.083 0.747 0.903 1
P2 P 0.408 0.718 0.155 1
O1 O 0.015 0.049 0.631 1
O2 O 0.040 0.504 0.370 1
O3 O 0.061 0.748 0.484 1
O4 O 0.241 0.688 0.886 1
O5 O 0.290 0.687 0.603 1
O6 O 0.353 0.739 0.233 1
O7 O 0.440 0.052 0.636 1
O8 O 0.455 0.127 0.856 1
```


## LiInMo6Se6 (GGA-PBE)

Data for crystalline LiInMo6Se6 at its relaxed geometry.

total energy after the MP2020 corrections	-7.147	eV per atom
formation enthalpy at 0 K	-0.67	eV per atom
final energy	-6.945	eV/atom

Geometry as CIF:
```
data_LiInMo6Se6
_chemical_formula_sum 'Li1 In1 Mo6 Se6'
_symmetry_space_group_name_H-M 'P -6'
_symmetry_Int_Tables_number 174
_cell_length_a 9.4561
_cell_length_b 9.4561
_cell_length_c 4.5153
_cell_angle_alpha 90.00
_cell_angle_beta 90.00
_cell_angle_gamma 120.00
loop_
_symmetry_equiv_pos_as_xyz
'x,y,z'
'-x+y,-x,-z'
'-y,x-y,z'
'x,y,-z'
'-x+y,-x,z'
'-y,x-y,-z'
loop_
_atom_site_label
_atom_site_type_symbol
_atom_site_fract_x
_atom_site_fract_y
_atom_site_fract_z
_atom_site_occupancy
Li1 Li 0.0000 0.0000 0.0000 1
In1 In 0.6667 0.3333 0.5000 1
Mo1 Mo 0.1583 0.6400 0.0000 1
Mo2 Mo 0.1830 0.4927 0.5000 1
Se1 Se 0.0429 0.3156 0.0000 1
Se2 Se 0.3755 0.3692 0.5000 1
```


## PdI2 (GGA-PBE)

Data for crystalline PdI2 at its relaxed geometry.

total energy after the MP2020 corrections	-3.230	eV per atom
formation enthalpy at 0 K	-0.49	eV per atom
final energy	-2.977	eV/atom

Geometry as CIF:
```
data_PdI2
_chemical_formula_sum 'Pd2 I4'
_symmetry_space_group_name_H-M 'P n n m'
_symmetry_Int_Tables_number 58
_cell_length_a 7.088
_cell_length_b 9.008
_cell_length_c 3.900
_cell_angle_alpha 90.00
_cell_angle_beta 90.00
_cell_angle_gamma 90.00
loop_
_symmetry_equiv_pos_as_xyz
'x,y,z'
'-x,-y,-z'
'-x,-y,z'
'x,y,-z'
'x+1/2,-y+1/2,-z+1/2'
'-x+1/2,y+1/2,z+1/2'
'-x+1/2,y+1/2,-z+1/2'
'x+1/2,-y+1/2,z+1/2'
loop_
_atom_site_label
_atom_site_type_symbol
_atom_site_fract_x
_atom_site_fract_y
_atom_site_fract_z
_atom_site_occupancy
Pd1 Pd 0.000 0.000 0.000 1
I1 I 0.192 0.126 0.500 1
```


## ZrVSi (GGA-PBE)

Data for crystalline ZrVSi at its relaxed geometry.

total energy after the MP2020 corrections	-8.418	eV per atom
formation enthalpy at 0 K	-0.73	eV per atom
final energy	-8.442	eV/atom

Geometry as CIF:
```
data_ZrVSi
_chemical_formula_sum 'Zr2 V2 Si2'
_symmetry_space_group_name_H-M 'P 4/n m m'
_symmetry_Int_Tables_number 129
_cell_length_a 3.689
_cell_length_b 3.689
_cell_length_c 7.254
_cell_angle_alpha 90.00
_cell_angle_beta 90.00
_cell_angle_gamma 90.00
loop_
_symmetry_equiv_pos_as_xyz
'x,y,z'
'-x,-y,-z'
'-y+1/2,x,z'
'y+1/2,-x,-z'
'-x+1/2,-y+1/2,z'
'x+1/2,y+1/2,-z'
'y,-x+1/2,z'
'-y,x+1/2,-z'
'x+1/2,-y,-z'
'-x+1/2,y,z'
'-y,-x,-z'
'y,x,z'
'-x,y+1/2,-z'
'x,-y+1/2,z'
'y+1/2,x+1/2,-z'
'-y+1/2,-x+1/2,z'
loop_
_atom_site_label
_atom_site_type_symbol
_atom_site_fract_x
_atom_site_fract_y
_atom_site_fract_z
_atom_site_occupancy
Zr1 Zr 0.250 0.250 0.140 1
V1 V 0.250 0.750 0.500 1
Si1 Si 0.250 0.250 0.745 1
```


## BaAlO5 (GGA-PBE)

Data for crystalline BaAlO5 at its relaxed geometry.

total energy after the MP2020 corrections	-6.082	eV per atom
formation enthalpy at 0 K	-1.74	eV per atom
final energy	-5.592	eV/atom

Geometry as CIF:
```
data_BaAlO5
_chemical_formula_sum 'Ba2 Al2 O10'
_symmetry_space_group_name_H-M 'P -1'
_symmetry_Int_Tables_number 2
_cell_length_a 5.800
_cell_length_b 6.588
_cell_length_c 6.880
_cell_angle_alpha 77.52
_cell_angle_beta 89.96
_cell_angle_gamma 73.20
loop_
_symmetry_equiv_pos_as_xyz
'x,y,z'
'-x,-y,-z'
loop_
_atom_site_label
_atom_site_type_symbol
_atom_site_fract_x
_atom_site_fract_y
_atom_site_fract_z
_atom_site_occupancy
Ba1 Ba 0.232 0.040 0.234 1
Al1 Al 0.132 0.359 0.662 1
O1 O 0.038 0.657 0.568 1
O2 O 0.046 0.726 0.132 1
O3 O 0.260 0.034 0.766 1
O4 O 0.325 0.294 0.896 1
O5 O 0.365 0.257 0.499 1
```


## Ba2Bi2Se3O2 (GGA-PBE)

Data for crystalline Ba2Bi2Se3O2 at its relaxed geometry.

total energy after the MP2020 corrections	-5.222	eV per atom
formation enthalpy at 0 K	-1.67	eV per atom
final energy	-5.069	eV/atom

Geometry as CIF:
```
data_Ba2Bi2Se3O2
_chemical_formula_sum 'Ba4 Bi4 Se6 O4'
_symmetry_space_group_name_H-M 'P 1 21/c 1'
_symmetry_Int_Tables_number 14
_cell_length_a 10.115
_cell_length_b 4.231
_cell_length_c 14.249
_cell_angle_alpha 90.00
_cell_angle_beta 124.60
_cell_angle_gamma 90.00
loop_
_symmetry_equiv_pos_as_xyz
'x,y,z'
'-x,-y,-z'
'-x,y+1/2,-z+1/2'
'x,-y+1/2,z+1/2'
loop_
_atom_site_label
_atom_site_type_symbol
_atom_site_fract_x
_atom_site_fract_y
_atom_site_fract_z
_atom_site_occupancy
Ba1 Ba 0.107 0.009 0.402 1
Bi1 Bi 0.362 0.505 0.313 1
Se1 Se 0.227 0.003 0.141 1
Se2 Se 0.500 0.000 0.500 1
O1 O 0.153 0.506 0.314 1
```


## Li2CuP4O12 (GGA-PBE)

Data for crystalline Li2CuP4O12 at its relaxed geometry.

total energy after the MP2020 corrections	-7.142	eV per atom
formation enthalpy at 0 K	-2.46	eV per atom
final energy	-6.708	eV/atom

Geometry as CIF:
```
data_Li2CuP4O12
_chemical_formula_sum 'Li8 Cu4 P16 O48'
_symmetry_space_group_name_H-M 'P n m a'
_symmetry_Int_Tables_number 62
_cell_length_a 9.434
_cell_length_b 9.431
_cell_length_c 10.134
_cell_angle_alpha 90.00
_cell_angle_beta 90.00
_cell_angle_gamma 90.00
loop_
_symmetry_equiv_pos_as_xyz
'x,y,z'
'-x,-y,-z'
'-x+1/2,-y,z+1/2'
'x+1/2,y,-z+1/2'
'x+1/2,-y+1/2,-z+1/2'
'-x+1/2,y+1/2,z+1/2'
'-x,y+1/2,-z'
'x,-y+1/2,z'
loop_
_atom_site_label
_atom_site_type_symbol
_atom_site_fract_x
_atom_site_fract_y
_atom_site_fract_z
_atom_site_occupancy
Li1 Li 0.009 0.096 0.179 1
Cu1 Cu 0.002 0.750 0.206 1
P1 P 0.198 0.750 0.611 1
P2 P 0.213 0.534 0.395 1
P3 P 0.223 0.250 0.534 1
O1 O 0.102 0.750 0.728 1
O2 O 0.116 0.750 0.050 1
O3 O 0.118 0.562 0.278 1
O4 O 0.130 0.054 0.884 1
O5 O 0.136 0.250 0.656 1
O6 O 0.145 0.250 0.129 1
O7 O 0.150 0.617 0.521 1
O8 O 0.176 0.125 0.438 1
```


## NaZrSi2O7 (GGA-PBE)

Data for crystalline NaZrSi2O7 at its relaxed geometry.

total energy after the MP2020 corrections	-8.077	eV per atom
formation enthalpy at 0 K	-3.04	eV per atom
final energy	-7.639	eV/atom

Geometry as CIF:
```
data_NaZrSi2O7
_chemical_formula_sum 'Na2 Zr2 Si4 O14'
_symmetry_space_group_name_H-M 'P -1'
_symmetry_Int_Tables_number 2
_cell_length_a 5.464
_cell_length_b 7.139
_cell_length_c 8.636
_cell_angle_alpha 68.47
_cell_angle_beta 87.92
_cell_angle_gamma 88.46
loop_
_symmetry_equiv_pos_as_xyz
'x,y,z'
'-x,-y,-z'
loop_
_atom_site_label
_atom_site_type_symbol
_atom_site_fract_x
_atom_site_fract_y
_atom_site_fract_z
_atom_site_occupancy
Na1 Na 0.232 0.310 0.071 1
Zr1 Zr 0.238 0.707 0.236 1
Si1 Si 0.255 0.614 0.675 1
Si2 Si 0.288 0.960 0.796 1
O1 O 0.019 0.457 0.246 1
O2 O 0.090 0.146 0.742 1
O3 O 0.180 0.798 0.973 1
O4 O 0.280 0.610 0.488 1
O5 O 0.300 0.848 0.659 1
O6 O 0.435 0.974 0.185 1
O7 O 0.458 0.468 0.801 1
```


## UN (GGA-PBE)

Data for crystalline UN at its relaxed geometry.

total energy after the MP2020 corrections	-11.304	eV per atom
formation enthalpy at 0 K	-1.49	eV per atom
final energy	-11.124	eV/atom

Geometry as CIF:
```
data_UN
_chemical_formula_sum 'U4 N4'
_symmetry_space_group_name_H-M 'F m -3 m'
_symmetry_Int_Tables_number 225
_symmetry_space_group_name_Hall '-F 4 2 3'
_cell_length_a 4.873
_cell_length_b 4.873
_cell_length_c 4.873
_cell_angle_alpha 90.00
_cell_angle_beta 90.00
_cell_angle_gamma 90.00
loop_
_atom_site_label
_atom_site_type_symbol
_atom_site_fract_x
_atom_site_fract_y
_atom_site_fract_z
_atom_site_occupancy
U1 U 0.000 0.000 0.000 1
N1 N 0.000 0.000 0.500 1
```


## CsLaMg14 (GGA-PBE)

Data for crystalline CsLaMg14 at its relaxed geometry.

formation enthalpy at 0 K	0.15	eV per atom
final energy	-1.612	eV/atom

Geometry as CIF:
```
data_CsLaMg14
_chemical_formula_sum 'Cs1 La1 Mg14'
_symmetry_space_group_name_H-M 'P -6 m 2'
_symmetry_Int_Tables_number 187
_symmetry_space_group_name_Hall 'P -6 2'
_cell_length_a 6.8733
_cell_length_b 6.8733
_cell_length_c 10.5320
_cell_angle_alpha 90.00
_cell_angle_beta 90.00
_cell_angle_gamma 120.00
loop_
_atom_site_label
_atom_site_type_symbol
_atom_site_fract_x
_atom_site_fract_y
_atom_site_fract_z
_atom_site_occupancy
Cs1 Cs 0.0000 0.0000 0.0000 1
La1 La 0.0000 0.0000 0.5000 1
Mg1 Mg 0.0054 0.5027 0.0000 1
Mg2 Mg 0.0085 0.5043 0.5000 1
Mg3 Mg 0.1783 0.3567 0.2576 1
Mg4 Mg 0.6667 0.3333 0.2503 1
```


## SrTeH2O4 (GGA-PBE)

Data for crystalline SrTeH2O4 at its relaxed geometry.

total energy after the MP2020 corrections	-5.907	eV per atom
formation enthalpy at 0 K	-1.98	eV per atom
final energy	-5.563	eV/atom

Geometry as CIF:
```
data_SrTeH2O4
_chemical_formula_sum 'Sr4 Te4 H8 O16'
_symmetry_space_group_name_H-M 'P 1 21/c 1'
_symmetry_Int_Tables_number 14
_cell_length_a 7.979
_cell_length_b 7.257
_cell_length_c 8.404
_cell_angle_alpha 90.00
_cell_angle_beta 107.27
_cell_angle_gamma 90.00
loop_
_symmetry_equiv_pos_as_xyz
'x,y,z'
'-x,-y,-z'
'-x,y+1/2,-z+1/2'
'x,-y+1/2,z+1/2'
loop_
_atom_site_label
_atom_site_type_symbol
_atom_site_fract_x
_atom_site_fract_y
_atom_site_fract_z
_atom_site_occupancy
Sr1 Sr 0.101 0.139 0.337 1
Te1 Te 0.281 0.672 0.506 1
H1 H 0.306 0.057 0.705 1
H2 H 0.486 0.086 0.661 1
O1 O 0.065 0.697 0.950 1
O2 O 0.194 0.023 0.852 1
O3 O 0.279 0.572 0.713 1
O4 O 0.356 0.087 0.612 1
```


## Ti5S8 (GGA-PBE)

Data for crystalline Ti5S8 at its relaxed geometry.

total energy after the MP2020 corrections	-7.250	eV per atom
formation enthalpy at 0 K	-1.67	eV per atom
final energy	-6.940	eV/atom

Geometry as CIF:
```
data_Ti5S8
_chemical_formula_sum 'Ti5 S8'
_symmetry_space_group_name_H-M 'P 1 m 1'
_symmetry_Int_Tables_number 6
_cell_length_a 5.943
_cell_length_b 3.414
_cell_length_c 11.889
_cell_angle_alpha 90.00
_cell_angle_beta 98.47
_cell_angle_gamma 90.00
loop_
_symmetry_equiv_pos_as_xyz
'x,y,z'
'x,-y,z'
loop_
_atom_site_label
_atom_site_type_symbol
_atom_site_fract_x
_atom_site_fract_y
_atom_site_fract_z
_atom_site_occupancy
Ti1 Ti 0.000 0.000 0.000 1
Ti2 Ti 0.004 0.500 0.503 1
Ti3 Ti 0.499 0.000 0.496 1
Ti4 Ti 0.520 0.500 0.000 1
Ti5 Ti 0.922 0.000 0.735 1
S1 S 0.135 0.500 0.869 1
S2 S 0.222 0.000 0.626 1
S3 S 0.302 0.500 0.378 1
S4 S 0.376 0.000 0.113 1
S5 S 0.640 0.000 0.872 1
S6 S 0.701 0.500 0.627 1
S7 S 0.807 0.000 0.384 1
S8 S 0.878 0.500 0.121 1
```